(1)
V2P3O10 | GGA+U | optimized geometry

Geometry as extended XYZ:
```
30
Lattice="-3.0766 -2.3006 -7.5436 0.6624 -4.6183 1.1383 -8.0633 -1.5956 3.7751" Properties=species:S:1:pos:R:3 pbc="T T T"
P -8.4215 -6.1241 -1.8226
O -1.9216 -1.3420 0.2501
O -0.6464 -2.9849 -1.2010
O -3.9873 -3.1352 -4.5426
O -9.8311 -5.5295 -1.4291
O -2.6620 -3.7429 -0.1478
O -7.6708 -3.6770 0.4322
P -4.0460 -4.1102 0.5286
V -6.6546 -2.2165 -0.6245
O -6.4902 -5.3793 1.9125
O -4.6474 -5.2553 -0.3152
P -3.1249 -4.4506 -4.4932
O -5.5361 -5.6676 -3.1386
V -4.8848 -7.0920 -4.6094
O -3.7410 -5.5362 -5.3534
O -6.7617 -3.9558 -4.5991
O -2.8067 -4.8375 -3.0624
O -6.7365 -2.9782 2.7233
O -5.8301 -3.2592 -2.3149
O -4.9414 -2.8468 0.5085
V -3.8229 -6.2980 -2.0056
P -7.3526 -4.0638 1.8630
O -3.7158 -4.5586 1.9690
O -8.5559 -7.1724 -2.8802
O -7.8155 -4.7715 -2.4823
O -7.6283 -6.4788 -0.6058
P -6.4315 -4.4042 -3.1588
V -5.5927 -1.4224 1.9793
P -2.0560 -2.3903 -0.8075
O -2.8492 -2.0356 -2.0243
```

Computed properties:
The calculation puts the formation energy at -2.62 eV/atom. The calculation puts the theoretical density at 3.24 g cm⁻³.

***

(2)
VP2O7 | GGA+U | optimized geometry

Geometry as extended XYZ:
```
20
Lattice="0.8005 3.5619 2.7085 2.8273 -4.8722 5.5717 6.1346 1.5894 -1.7231" Properties=species:S:1:pos:R:3 pbc="T T T"
O 8.1942 -2.1863 4.5616
O 6.7772 -0.2292 5.2999
P 3.0259 0.1516 3.8101
V 0.3285 -0.5661 0.6473
P 4.8719 -2.7393 5.9784
O 4.6444 -2.3509 4.5269
O 6.2980 0.8794 0.8801
O 3.6036 2.3412 0.7608
P 7.5067 -1.4897 5.7340
O 5.6303 3.6441 1.3603
O 6.3019 -1.0263 2.5685
V 4.8096 -2.2077 2.5719
O 3.9777 0.4143 5.0076
P 6.5256 0.4912 2.3312
O 4.0767 -1.8572 6.9387
O 3.7133 -0.5458 2.6379
O 5.7310 1.3732 3.2922
O 1.8222 0.6158 0.6446
O 2.2969 1.4118 3.3760
O 1.9502 -0.8900 4.4086
```

Computed properties:
As for the offset from the most stable computed form: 0.033 eV per atom. The calculation puts the formation energy at -2.59 eV/atom. The calculation puts the theoretical density at 3.22 g cm⁻³.

***

(3)
V4P7O24 | GGA+U | optimized geometry

Geometry as extended XYZ:
```
70
Lattice="-2.3926 9.8637 -1.1081 -4.8139 -4.8075 -7.9007 -3.7173 -3.9770 9.3700" Properties=species:S:1:pos:R:3 pbc="T T T"
O -3.2119 6.6961 0.2703
P -3.0038 5.9179 -1.1158
V -7.7009 -1.6472 2.5254
V -3.2230 2.7263 -2.1642
P -3.6018 -0.5946 6.5519
P -5.8514 3.9094 1.3917
O -2.0250 -0.6331 -0.9251
P -4.4238 -1.4859 1.5410
O -8.2897 -3.9046 -1.7049
O -4.6659 5.5766 4.3984
V -2.6549 3.3971 1.0255
P -5.0724 -2.8303 -1.0305
P -6.3214 -3.5213 4.9804
O -5.8289 -1.1780 1.9316
O -8.7470 -1.2431 -2.1705
O -5.9023 2.1150 -6.3147
O -6.2579 -4.4975 -4.0372
O -5.2978 -4.2996 -1.2370
O -6.5254 3.7331 -0.0857
O -6.8015 -5.3138 2.3467
O -6.3735 4.1912 5.6476
V -8.2690 -2.3180 -0.6643
O -4.5449 6.1800 -4.7847
O -6.3790 -5.1009 5.1459
P -7.9200 -4.8388 1.4769
O -2.7205 -1.4119 5.5868
O -5.0216 -1.0359 6.6759
O -1.3826 0.2338 1.3314
O -2.6341 4.9837 2.0661
O -7.0521 1.2435 -0.4153
O -2.1768 2.3222 2.5317
O -3.7323 4.1012 -3.4635
O -8.8989 1.7122 1.2863
P -8.4688 0.8051 0.1977
O -5.3021 2.2479 7.7443
O -6.0704 4.2222 -4.3943
V -2.1712 -2.1406 -2.3503
P -2.4550 0.2740 0.1635
O -4.5503 -3.1121 -5.2864
P -7.3221 1.6737 -6.1907
O -8.2034 2.4910 -5.2256
P -4.9652 4.7057 5.5862
O -5.6217 -1.1688 -7.3831
O -3.1541 1.0108 -3.0642
O -6.7813 3.2350 2.3852
O -3.4379 -1.7879 2.6289
V -8.7526 3.2197 2.7115
O -7.7697 0.0683 3.4254
O -7.7120 -5.6170 0.0909
O -4.8534 -3.1431 4.7555
O -3.8717 -0.1644 0.7765
O -3.1067 4.3903 -0.7581
O -7.4860 2.8670 -2.2677
O -5.0949 2.2571 -1.5704
O -4.3984 -2.6539 0.4469
O -5.6260 5.3788 1.5982
V -3.0443 -3.0296 4.1578
O -9.5413 0.8453 -0.9702
O -8.2696 -0.6769 0.6049
P -6.5000 2.5650 -1.1798
O -2.6542 1.7560 -0.2437
O -4.4910 3.1359 1.2961
O -4.1223 6.3929 -1.9855
P -4.6025 4.6004 -4.6192
V -7.8796 4.1087 -3.7966
O -6.4329 -2.0568 -0.9349
O -7.1916 -3.0220 3.8247
O -7.8171 -3.3112 1.1193
O -4.1425 -2.1558 -2.0240
P -5.9586 -3.6266 -5.2250
```

Computed properties:
The calculation puts the formation energy at -2.66 eV/atom. The calculation puts the theoretical density at 2.92 g cm⁻³.

***

- theoretical density of number 1 (V2P3O10)?
  3.24 g cm⁻³